VASP calculation (GGA+U) on a relaxed SrCaDyVO6 crystal.

Summary:
* energy relative to the elements: -3.102 eV per atom

Cell lengths 8.168, 8.168, 8.168 Å; angles 90.00, 90.00, 90.00 degrees
Space group F-43m (No. 216)
Unique sites:
Sr  0.000  0.000  0.000
Ca  0.000  0.000  0.500
Dy  0.250  0.250  0.750
V  0.250  0.250  0.250
O  0.018  0.250  0.250